The following is a PBE-GGA calculation of a geometry-optimized Sm2Cr2Fe15C2 structure, from the Materials Project.

Values from the calculation:
formation enthalpy at 0 K: 3.11 eV/f.u.
magnetization: 0.063 μB per cell

Cell and atoms, written as extended XYZ:
```
21
Lattice="4.8420 -4.3147 0.0000 4.8420 4.3147 0.0000 -0.9858 0.0000 6.4234" Properties=species:S:1:pos:R:3 pbc="T T T"
Sm 1.1126 0.0000 2.1549
Sm 7.5856 0.0000 4.2684
Cr 3.9235 0.0000 0.5576
Cr 4.7747 0.0000 5.8658
Fe 2.4210 2.1574 0.0000
Fe 0.6757 0.0000 5.5018
Fe 3.5479 2.1035 2.1757
Fe 2.7454 1.2165 4.5762
Fe 4.8420 2.4351 0.0000
Fe 5.1503 2.1035 4.2477
Fe 2.7454 -1.2165 4.5762
Fe 2.4210 -2.1574 0.0000
Fe 4.3491 0.0000 3.2117
Fe 5.9527 1.2165 1.8472
Fe 3.5479 -2.1035 2.1757
Fe 4.8420 -2.4351 0.0000
Fe 5.9527 -1.2165 1.8472
Fe 5.1503 -2.1035 4.2477
Fe 8.0225 0.0000 0.9215
C 1.9281 2.1574 3.2117
C 1.9281 -2.1574 3.2117
```